<i>
! Mn2SbN3, relaxed, DFT PBE; values from VASP
&SYSTEM
  ibrav = 0, nat = 24, ntyp = 3
/
ATOMIC_SPECIES
Mn 54.94 Mn.upf
Sb 121.76 Sb.upf
N 14.01 N.upf
ATOMIC_POSITIONS angstrom
Mn 3.247 -0.626 6.752
Mn -2.709 2.259 5.245
Mn -8.169 5.504 1.234
Mn -2.214 2.619 2.741
Mn 4.669 -0.689 4.558
Mn -1.837 1.133 7.439
Mn -9.591 5.567 3.428
Mn -3.085 3.745 0.547
Sb 0.392 1.064 4.886
Sb -5.736 3.616 7.111
Sb -5.314 3.814 3.100
Sb 0.813 1.262 0.875
N -8.815 3.943 6.016
N -3.272 1.487 2.005
N 3.054 0.204 4.962
N -3.498 1.937 7.034
N -7.976 4.674 3.023
N -1.424 2.941 0.951
N 1.843 -0.779 7.984
N -3.393 3.493 4.012
N -6.766 5.657 0.001
N -1.529 1.385 3.973
N -1.053 -0.079 6.016
N -11.033 5.509 2.005
CELL_PARAMETERS angstrom
7.164 -0.551 -0.036
-11.746 6.086 0.000
-0.340 -0.657 8.022
! Magnetic moment (μB/f.u.): 1.75
! Space group: No. 15

---

<ii>
! Mn2SbN3, relaxed, DFT PBE; values from VASP
&SYSTEM
  ibrav = 0, nat = 12, ntyp = 3
/
ATOMIC_SPECIES
Mn 54.94 Mn.upf
Sb 121.76 Sb.upf
N 14.01 N.upf
ATOMIC_POSITIONS angstrom
Mn 1.177 1.784 2.605
Mn 0.281 4.711 2.605
Mn 1.238 3.054 5.314
Mn 2.134 0.127 5.314
Sb -1.867 3.235 3.015
Sb -1.115 1.932 0.305
N 1.440 1.447 4.382
N 0.442 4.315 4.382
N 0.975 3.391 1.672
N 1.973 0.523 1.672
N -2.178 3.774 5.167
N -0.804 1.393 2.458
CELL_PARAMETERS angstrom
5.397 -0.329 0.000
-2.982 5.167 0.000
0.000 0.000 5.420
! Magnetic moment (μB/f.u.): 0.00
! Space group: No. 36

---

Short version: <ii> is the most stable of them.

---

<i>
! Mn4Se3N2, relaxed, DFT PBE; values from VASP
&SYSTEM
  ibrav = 0, nat = 18, ntyp = 3
/
ATOMIC_SPECIES
Mn 54.94 Mn.upf
Se 78.96 Se.upf
N 14.01 N.upf
ATOMIC_POSITIONS angstrom
Mn 4.342 14.805 1.565
Mn 1.888 0.280 1.565
Mn 1.227 7.823 0.000
Mn 5.002 7.262 0.000
Mn 6.136 10.017 1.565
Mn 0.093 5.069 1.565
Mn 3.021 12.612 0.000
Mn 3.208 2.474 0.000
Se 3.115 7.543 1.565
Se 0.000 0.000 0.000
Se 3.939 4.294 1.565
Se 2.290 10.792 1.565
Se 0.824 3.249 0.000
Se 5.405 11.837 0.000
N 3.458 1.366 1.565
N 2.772 13.719 1.565
N 0.343 6.176 0.000
N 5.886 8.909 0.000
CELL_PARAMETERS angstrom
6.229 0.000 0.000
0.000 15.086 0.000
0.000 0.000 3.130
! Magnetic moment (μB/f.u.): 10.62
! Space group: No. 58

---

<ii>
! Mn4Se3N2, relaxed, DFT PBE; values from VASP
&SYSTEM
  ibrav = 0, nat = 36, ntyp = 3
/
ATOMIC_SPECIES
Mn 54.94 Mn.upf
Se 78.96 Se.upf
N 14.01 N.upf
ATOMIC_POSITIONS angstrom
Mn -3.609 7.747 0.748
Mn -5.944 6.275 -1.492
Mn -7.485 1.260 3.799
Mn -5.151 2.732 6.039
Mn -5.133 3.975 -0.906
Mn -3.008 0.909 0.830
Mn -5.962 5.032 5.454
Mn -8.087 8.098 3.717
Mn -6.405 0.834 0.781
Mn -0.956 3.936 -0.152
Mn -7.739 7.945 7.094
Mn -7.089 5.300 1.371
Mn -4.689 8.173 3.766
Mn -10.138 5.072 4.699
Mn -3.356 1.062 -2.547
Mn -4.006 3.708 3.177
Se -5.671 1.734 -1.553
Se -3.333 3.277 0.695
Se -5.424 7.273 6.100
Se -7.762 5.730 3.853
Se -6.371 2.980 2.306
Se -6.799 1.091 7.050
Se -2.108 6.223 -0.614
Se -6.912 7.721 0.353
Se -4.724 6.028 2.242
Se -4.296 7.916 -2.503
Se -8.987 2.784 5.161
Se -4.182 1.287 4.194
N -6.459 8.821 3.440
N -6.210 4.107 6.980
N -2.830 0.321 -0.864
N -6.690 4.765 -0.462
N -4.636 0.186 1.107
N -4.884 4.901 -2.433
N -8.265 8.686 5.412
N -4.404 4.242 5.009
CELL_PARAMETERS angstrom
-4.503 0.661 -4.080
-7.003 -0.524 7.643
0.410 8.870 0.984
! Magnetic moment (μB/f.u.): 11.96
! Space group: No. 62

---

Short version: <ii> is the most stable of them.

---

<i>
! Sr4MnN4, relaxed, DFT PBE; values from VASP
&SYSTEM
  ibrav = 0, nat = 36, ntyp = 3
/
ATOMIC_SPECIES
Sr 87.62 Sr.upf
Mn 54.94 Mn.upf
N 14.01 N.upf
ATOMIC_POSITIONS angstrom
Sr -10.755 -4.318 4.015
Sr -4.043 -4.374 4.066
Sr -5.191 -2.413 -3.430
Sr -11.903 -2.356 -3.480
Sr -10.437 -1.668 0.157
Sr -7.887 -5.888 6.288
Sr -5.509 -5.062 0.429
Sr -8.059 -0.842 -5.703
Sr -13.613 -3.000 2.112
Sr -7.501 -3.658 3.039
Sr -2.333 -3.730 -1.526
Sr -8.445 -3.072 -2.454
Sr -10.332 0.860 -3.524
Sr -5.966 -1.544 -0.045
Sr -5.614 -7.590 4.110
Sr -9.980 -5.186 0.631
Mn -7.348 0.164 -2.526
Mn -3.384 -2.641 1.539
Mn -8.597 -6.895 3.112
Mn -12.562 -4.089 -0.953
N -5.708 -0.070 -2.193
N -12.429 -0.023 -2.230
N -10.238 -6.660 2.778
N -3.517 -6.708 2.815
N -7.682 1.156 -3.969
N -5.055 -2.988 2.052
N -8.264 -7.887 4.555
N -10.891 -3.743 -1.466
N -8.597 -0.495 -1.561
N -3.028 -1.695 0.160
N -7.349 -6.236 2.147
N -12.918 -5.036 0.426
N -5.461 -5.600 5.858
N -9.628 -2.998 2.088
N -10.485 -1.130 -5.272
N -6.318 -3.733 -1.503
CELL_PARAMETERS angstrom
-10.242 3.297 -4.751
-0.014 -4.336 -2.978
-5.690 -5.692 8.315
! Magnetic moment (μB/f.u.): 1.00
! Space group: No. 62

---

<ii>
! Sr4MnN4, relaxed, DFT PBE; values from VASP
&SYSTEM
  ibrav = 0, nat = 18, ntyp = 3
/
ATOMIC_SPECIES
Sr 87.62 Sr.upf
Mn 54.94 Mn.upf
N 14.01 N.upf
ATOMIC_POSITIONS angstrom
Sr -4.536 3.991 1.899
Sr -5.399 -1.601 7.643
Sr -3.508 1.603 8.442
Sr -6.426 0.787 1.100
Sr -4.809 2.642 5.601
Sr -5.125 -0.252 3.941
Sr -8.226 -0.774 5.534
Sr -1.708 3.164 4.008
Mn -7.641 2.111 7.117
Mn -2.293 0.279 2.425
N -7.000 3.595 6.362
N -2.934 -1.205 3.181
N -8.181 2.544 8.760
N -1.753 -0.153 0.782
N -6.389 0.835 7.174
N -3.545 1.555 2.368
N -7.620 0.378 3.300
N -2.314 2.012 6.242
CELL_PARAMETERS angstrom
-0.975 5.968 1.356
-6.782 -0.430 0.017
-2.177 -3.148 8.169
! Magnetic moment (μB/f.u.): 1.00
! Space group: No. 2

---

Short version: <i> is the most stable of them.

---

<i>
! MnNiSb, relaxed, DFT PBE; values from VASP
&SYSTEM
  ibrav = 0, nat = 3, ntyp = 3
/
ATOMIC_SPECIES
Mn 54.94 Mn.upf
Ni 58.69 Ni.upf
Sb 121.76 Sb.upf
ATOMIC_POSITIONS angstrom
Mn 1.477 1.477 1.477
Ni 0.000 0.000 0.000
Sb 4.430 4.430 4.430
CELL_PARAMETERS angstrom
0.000 2.953 2.953
2.953 0.000 2.953
2.953 2.953 0.000
! Space group: No. 216

---

<ii>
! MnNiSb, relaxed, DFT PBE; values from VASP
&SYSTEM
  ibrav = 0, nat = 3, ntyp = 3
/
ATOMIC_SPECIES
Mn 54.94 Mn.upf
Ni 58.69 Ni.upf
Sb 121.76 Sb.upf
ATOMIC_POSITIONS angstrom
Mn -1.481 -1.481 -1.481
Ni -2.961 -2.961 -2.961
Sb 0.000 0.000 0.000
CELL_PARAMETERS angstrom
-2.961 -2.961 0.000
-2.961 0.000 -2.961
0.000 -2.961 -2.961
! Magnetic moment (μB/f.u.): 3.11
! Space group: No. 216

---

Short version: <i> is the most stable of them.

---

<i>
! Mn2SnS4, relaxed, DFT PBE; values from VASP
&SYSTEM
  ibrav = 0, nat = 7, ntyp = 3
/
ATOMIC_SPECIES
Mn 54.94 Mn.upf
Sn 118.71 Sn.upf
S 32.06 S.upf
ATOMIC_POSITIONS angstrom
Mn 0.000 4.071 3.254
Mn 1.817 0.975 3.254
Sn 0.000 0.000 0.000
S 0.000 1.981 1.961
S 1.817 2.994 4.656
S 0.000 6.160 4.547
S 1.817 5.148 1.851
CELL_PARAMETERS angstrom
3.634 0.000 0.000
0.000 6.191 0.000
0.000 1.951 6.507
! Magnetic moment (μB/f.u.): 8.00
! Space group: No. 10

---

<ii>
! Mn2SnS4, relaxed, DFT PBE; values from VASP
&SYSTEM
  ibrav = 0, nat = 14, ntyp = 3
/
ATOMIC_SPECIES
Mn 54.94 Mn.upf
Sn 118.71 Sn.upf
S 32.06 S.upf
ATOMIC_POSITIONS angstrom
Mn 3.584 1.822 1.326
Mn 0.000 1.822 3.823
Mn 1.792 -1.822 2.574
Mn 1.792 1.822 -2.574
Sn 0.000 0.000 0.000
Sn 0.000 3.644 0.000
S -1.624 1.822 5.236
S 1.624 1.822 5.236
S 0.000 0.069 7.624
S 3.584 -0.069 2.476
S 5.208 1.822 -0.087
S 1.960 1.822 -0.087
S 3.584 3.576 -2.476
S 0.000 3.713 2.673
CELL_PARAMETERS angstrom
-3.584 3.644 5.149
3.584 -3.644 5.149
3.584 3.644 -5.149
! Magnetic moment (μB/f.u.): 0.32
! Space group: No. 74

---

<iii>
! Mn2SnS4, relaxed, DFT PBE; values from VASP
&SYSTEM
  ibrav = 0, nat = 7, ntyp = 3
/
ATOMIC_SPECIES
Mn 54.94 Mn.upf
Sn 118.71 Sn.upf
S 32.06 S.upf
ATOMIC_POSITIONS angstrom
Mn -1.838 2.604 -1.840
Mn -1.838 -2.604 -1.840
Sn 0.000 0.000 0.000
S -3.676 2.626 0.000
S -3.676 -2.626 0.000
S -5.521 0.000 -1.840
S -1.832 0.000 -1.840
CELL_PARAMETERS angstrom
0.000 0.000 -3.680
-3.676 -5.207 0.000
-3.676 5.207 0.000
! Magnetic moment (μB/f.u.): 9.55
! Space group: No. 65

---

Short version: <i> is the most stable of them.

---

<i>
! Mn5Si2, relaxed, DFT PBE; values from VASP
&SYSTEM
  ibrav = 0, nat = 56, ntyp = 2
/
ATOMIC_SPECIES
Mn 54.94 Mn.upf
Si 28.09 Si.upf
ATOMIC_POSITIONS angstrom
Mn -5.686 -0.896 7.203
Mn -1.147 6.989 6.933
Mn -7.376 0.666 4.846
Mn -1.146 3.956 5.649
Mn -4.174 -2.394 3.715
Mn -4.942 6.498 5.497
Mn -5.064 5.280 8.556
Mn -2.363 0.295 4.299
Mn -3.439 0.517 7.382
Mn -5.566 3.684 2.069
Mn -7.915 3.036 5.929
Mn 0.598 2.636 7.164
Mn -2.977 1.523 9.825
Mn -3.967 4.474 4.072
Mn -6.901 3.362 8.391
Mn -1.732 1.163 1.864
Mn -4.876 0.257 4.666
Mn -3.099 4.842 7.009
Mn -9.801 1.861 3.791
Mn 0.138 1.766 4.242
Mn -4.979 -3.361 6.175
Mn -2.996 8.460 5.499
Mn -6.200 1.177 2.398
Mn -3.463 2.450 5.634
Mn -3.504 -2.148 7.872
Mn -5.916 5.988 0.684
Mn -5.683 2.606 4.452
Mn -2.049 2.705 7.747
Mn -3.052 -0.700 11.374
Mn -3.478 7.058 3.418
Mn -4.267 2.868 7.986
Mn -3.951 2.019 3.164
Mn -5.667 1.164 8.940
Mn -2.809 3.497 1.653
Mn -7.666 0.753 7.523
Mn 0.878 5.380 6.712
Mn -0.752 0.763 8.314
Mn -6.721 4.773 4.442
Mn -7.038 5.624 6.754
Mn -2.124 -1.560 2.360
Si -4.575 -0.815 9.492
Si -3.727 5.629 1.476
Si -5.702 1.541 6.553
Si -0.912 4.744 8.058
Si -1.950 -0.967 9.309
Si -5.698 6.351 3.071
Si -5.309 4.135 6.295
Si -4.027 -0.222 2.442
Si -6.357 -1.566 5.069
Si -2.304 6.067 5.126
Si -5.077 3.085 10.125
Si -1.896 2.887 3.712
Si -3.494 -1.381 5.707
Si -3.795 7.078 7.448
Si -7.705 2.927 3.408
Si -1.272 1.299 6.104
CELL_PARAMETERS angstrom
-5.513 6.779 -0.184
-5.838 -4.623 4.574
3.376 2.943 7.285
! Magnetic moment (μB/f.u.): 4.53
! Space group: No. 96

---

<ii>
! Mn5Si2, relaxed, DFT PBE; values from VASP
&SYSTEM
  ibrav = 0, nat = 56, ntyp = 2
/
ATOMIC_SPECIES
Mn 54.94 Mn.upf
Si 28.09 Si.upf
ATOMIC_POSITIONS angstrom
Mn 8.004 2.816 3.738
Mn 0.683 5.872 8.153
Mn 7.160 5.027 1.530
Mn 1.528 3.660 5.945
Mn 5.872 0.683 0.677
Mn 2.816 8.004 5.092
Mn 5.027 7.160 7.300
Mn 3.660 1.528 2.885
Mn 5.834 2.334 5.261
Mn 2.854 6.354 0.846
Mn 6.677 7.198 3.054
Mn 2.010 1.490 7.469
Mn 6.354 2.854 7.984
Mn 2.334 5.834 3.569
Mn 7.198 6.677 5.776
Mn 1.490 2.010 1.361
Mn 5.495 3.193 2.208
Mn 3.193 5.495 6.623
Mn 7.537 7.537 0.000
Mn 1.151 1.151 4.415
Mn 8.330 0.358 2.208
Mn 0.358 8.330 6.623
Mn 4.702 4.702 0.000
Mn 3.986 3.986 4.415
Mn 7.561 0.399 4.711
Mn 1.127 8.289 0.296
Mn 4.743 5.471 2.503
Mn 3.945 3.217 6.918
Mn 8.289 1.127 8.534
Mn 0.399 7.561 4.119
Mn 5.471 4.743 6.327
Mn 3.217 3.945 1.912
Mn 8.334 1.945 6.225
Mn 0.354 6.743 1.810
Mn 6.289 4.698 4.018
Mn 2.399 3.990 8.433
Mn 6.743 0.354 7.020
Mn 1.945 8.334 2.605
Mn 4.698 6.289 4.812
Mn 3.990 2.399 0.397
Si 7.682 4.119 5.840
Si 1.006 4.569 1.425
Si 8.463 5.350 3.633
Si 0.225 3.338 8.048
Si 4.569 1.006 7.405
Si 4.119 7.682 2.990
Si 5.350 8.463 5.197
Si 3.338 0.225 0.782
Si 7.586 2.572 1.355
Si 1.102 6.116 5.770
Si 6.916 5.446 7.977
Si 1.772 3.242 3.562
Si 6.116 1.102 3.060
Si 2.572 7.586 7.475
Si 5.446 6.916 0.853
Si 3.242 1.772 5.268
CELL_PARAMETERS angstrom
8.688 0.000 0.000
0.000 8.688 0.000
0.000 0.000 8.830
! Magnetic moment (μB/f.u.): 3.93
! Space group: No. 92

---

Short version: <i> is the most stable of them.

---

<i>
! Mo, relaxed, DFT PBE; values from VASP
&SYSTEM
  ibrav = 0, nat = 16, ntyp = 1
/
ATOMIC_SPECIES
Mo 95.94 Mo.upf
ATOMIC_POSITIONS angstrom
Mo 1.379 -5.622 1.276
Mo 10.250 -11.111 2.059
Mo 9.145 -7.194 -1.078
Mo 0.275 -1.705 -1.861
Mo 2.533 -7.897 0.366
Mo 8.627 -9.989 0.204
Mo 7.992 -4.919 -0.168
Mo 1.898 -2.827 -0.005
Mo 4.265 -9.262 2.317
Mo 7.368 -7.462 1.040
Mo 6.260 -3.554 -2.119
Mo 3.156 -5.354 -0.841
Mo 4.333 -2.641 -0.488
Mo 5.559 -5.099 0.328
Mo 6.192 -10.175 0.687
Mo 4.966 -7.717 -0.130
CELL_PARAMETERS angstrom
1.732 -9.007 3.461
-0.474 -1.165 -2.793
9.267 -2.645 -0.470
! Magnetic moment (μB/f.u.): 0.00
! Space group: No. 13

---

<ii>
! Mo, relaxed, DFT PBE; values from VASP
&SYSTEM
  ibrav = 0, nat = 1, ntyp = 1
/
ATOMIC_SPECIES
Mo 95.94 Mo.upf
ATOMIC_POSITIONS angstrom
Mo 0.000 0.000 0.000
CELL_PARAMETERS angstrom
-2.193 -1.371 -1.165
-2.534 1.263 -0.170
-1.009 0.822 -2.521
! Magnetic moment (μB/f.u.): 0.00
! Space group: No. 225

---

Short version: <i> is the most stable of them.